## MgSi2 (PBE)

Data for an optimized crystal structure of MgSi2.

Cell: 4.6134 3.5743 14.3994 Å, 91.00 72.59 70.02°
Positions (direct):
Mg (0.8625, 0.1561, 0.6962)
Mg (0.4990, 0.8331, 0.8752)
Mg (0.5009, 0.8336, 0.3750)
Si (0.8713, 0.1490, 0.9364)
Si (0.2065, 0.4795, 0.5355)
Si (0.8514, 0.1826, 0.4685)
Si (0.1498, 0.4838, 0.2814)
Mg (0.1365, 0.5105, 0.0538)
Si (0.5504, 0.8257, 0.5870)
Si (0.7938, 0.1874, 0.2146)
Si (0.1282, 0.5175, 0.8135)
Si (0.4495, 0.8411, 0.1629)

## Properties
Relative energy among the computed polymorphs, meV per atom: 179
Crystal system: triclinic
Space-group type: P1 (1)
E_form, meV/atom: 256
Energy, eV per atom: -3.941

---

## TiRu (PBE)

Data for an optimized crystal structure of TiRu.

Cell: 3.0855 3.0855 3.0855 Å, 90.00 90.00 90.00°
Positions (direct):
Ru (0.5000, 0.5000, 0.5000)
Ti (0.0000, 0.0000, 0.0000)

## Properties
Crystal system: cubic
Space-group type: Pm-3m (221)
E_form, meV/atom: -763
Energy, eV per atom: -9.348

---

## CdH12C2S2N6Cl4 (PBE)

Data for an optimized crystal structure of CdH12C2S2N6Cl4.

Cell: 8.5890 7.3352 12.6348 Å, 60.63 90.00 90.00°
Positions (direct):
H (0.9855, 0.5630, 0.8359)
H (0.6418, 0.3089, 0.8773)
C (0.0994, 0.2663, 0.4104)
H (0.5255, 0.2503, 0.0547)
N (0.0339, 0.7133, 0.6517)
N (0.4184, 0.2552, 0.0187)
Cl (0.1245, 0.9152, 0.2124)
S (0.2276, 0.2573, 0.8485)
N (0.4694, 0.7055, 0.2656)
Cl (0.3755, 0.9152, 0.7124)
N (0.9694, 0.2945, 0.2344)
H (0.6772, 0.7649, 0.9293)
H (0.9622, 0.8279, 0.7625)
Cl (0.1579, 0.6712, 0.0168)
C (0.5994, 0.7337, 0.0896)
C (0.9006, 0.7337, 0.5896)
H (0.0145, 0.4370, 0.1641)
H (0.1418, 0.6911, 0.6227)
H (0.4745, 0.7497, 0.9453)
Cl (0.3421, 0.6712, 0.5168)
C (0.4006, 0.2663, 0.9104)
H (0.0255, 0.7497, 0.4453)
S (0.2724, 0.2573, 0.3485)
Cl (0.8755, 0.0848, 0.7876)
H (0.5145, 0.5630, 0.3359)
H (0.1772, 0.2351, 0.5707)
H (0.6442, 0.2707, 0.7147)
H (0.8582, 0.3089, 0.3773)
H (0.8558, 0.2707, 0.2147)
N (0.0816, 0.2552, 0.5187)
N (0.9184, 0.7448, 0.4813)
H (0.0378, 0.1721, 0.2375)
N (0.5306, 0.2945, 0.7344)
N (0.4661, 0.7133, 0.1517)
S (0.7276, 0.7427, 0.6515)
H (0.1442, 0.7293, 0.7853)
Cd (0.0000, 0.0000, 0.0000)
H (0.4622, 0.1721, 0.7375)
N (0.5339, 0.2867, 0.8483)
H (0.3582, 0.6911, 0.1227)
H (0.8228, 0.7649, 0.4293)
Cd (0.5000, 0.0000, 0.5000)
H (0.3228, 0.2351, 0.0707)
H (0.4855, 0.4370, 0.6641)
H (0.3558, 0.7293, 0.2853)
N (0.5816, 0.7448, 0.9813)
H (0.9745, 0.2503, 0.5547)
H (0.5378, 0.8279, 0.2625)
N (0.0306, 0.7055, 0.7656)
Cl (0.6579, 0.3288, 0.4832)
Cl (0.8421, 0.3288, 0.9832)
S (0.7724, 0.7427, 0.1515)
Cl (0.6245, 0.0848, 0.2876)
N (0.9661, 0.2867, 0.3483)

## Properties
Crystal system: monoclinic
Space-group type: P2_1/c (14)
E_form, meV/atom: -466
Energy, eV per atom: -4.997

---

## Mg6VB (PBE)

Data for an optimized crystal structure of Mg6VB.

Cell: 4.7548 5.7619 10.8909 Å, 90.00 90.00 90.00°
Positions (direct):
Mg (0.0000, 0.7502, 0.5843)
B (0.5000, 0.0000, 0.6572)
Mg (0.0000, 0.2498, 0.5843)
Mg (0.5000, 0.7483, 0.9282)
Mg (0.0000, 0.5000, 0.8278)
Mg (0.5000, 0.2517, 0.9282)
Mg (0.0000, 0.5000, 0.3133)
Mg (0.5000, 0.2483, 0.4282)
Mg (0.0000, 0.7498, 0.0843)
Mg (0.0000, 0.0000, 0.8133)
Mg (0.0000, 0.2502, 0.0843)
Mg (0.5000, 0.7517, 0.4282)
V (0.5000, 0.5000, 0.6768)
Mg (0.0000, 0.0000, 0.3278)
B (0.5000, 0.5000, 0.1572)
V (0.5000, 0.0000, 0.1768)

## Properties
Relative energy among the computed polymorphs, meV per atom: 266
E_form, meV/atom: 474
Energy, eV per atom: -2.697

---

## EuMgPd (PBE)

Data for an optimized crystal structure of EuMgPd.

Cell: 4.3939 7.5286 8.6428 Å, 90.00 90.00 90.00°
Positions (direct):
Mg (0.7500, 0.3628, 0.4377)
Mg (0.7500, 0.8628, 0.0623)
Eu (0.2500, 0.5300, 0.1770)
Eu (0.7500, 0.4700, 0.8230)
Mg (0.2500, 0.6372, 0.5623)
Mg (0.2500, 0.1372, 0.9377)
Pd (0.2500, 0.7741, 0.8779)
Pd (0.7500, 0.2259, 0.1221)
Eu (0.7500, 0.9700, 0.6770)
Pd (0.2500, 0.2741, 0.6221)
Eu (0.2500, 0.0300, 0.3230)
Pd (0.7500, 0.7259, 0.3779)

## Properties
Crystal system: orthorhombic
Space-group type: Pnma (62)
E_form, meV/atom: -620
Energy, eV per atom: -6.299

---

## LiSiBiO4 (PBE)

Data for an optimized crystal structure of LiSiBiO4.

Cell: 5.3737 8.8524 8.9343 Å, 72.35 90.00 90.00°
Positions (direct):
O (0.8967, 0.2546, 0.8270)
O (0.8090, 0.7614, 0.1595)
O (0.6468, 0.2268, 0.1993)
Si (0.7923, 0.2577, 0.3469)
O (0.2423, 0.1119, 0.0149)
Li (0.8262, 0.6438, 0.3754)
O (0.1033, 0.2546, 0.3270)
O (0.3532, 0.2268, 0.6993)
Bi (0.3223, 0.5037, 0.2563)
O (0.3904, 0.6988, 0.0237)
O (0.3050, 0.4304, 0.8644)
O (0.7320, 0.9347, 0.8770)
O (0.2680, 0.9347, 0.3770)
O (0.1910, 0.7614, 0.6595)
Li (0.3307, 0.1323, 0.2170)
O (0.7577, 0.1119, 0.5149)
Si (0.2077, 0.2577, 0.8469)
Bi (0.6777, 0.5037, 0.7563)
O (0.6096, 0.6988, 0.5237)
Li (0.6693, 0.1323, 0.7170)
Bi (0.8422, 0.0362, 0.0720)
O (0.1769, 0.6178, 0.4265)
Li (0.1738, 0.6438, 0.8754)
Bi (0.1578, 0.0362, 0.5720)
Si (0.6837, 0.7510, 0.9938)
O (0.6950, 0.4304, 0.3644)
Si (0.3163, 0.7510, 0.4938)
O (0.8231, 0.6178, 0.9265)

## Properties
Relative energy among the computed polymorphs, meV per atom: 77
Crystal system: monoclinic
Space-group type: Pc (7)
E_form, meV/atom: -2448
Energy, eV per atom: -6.487

---

## Sr2La2MgTi3O12 (PBE)

Data for an optimized crystal structure of Sr2La2MgTi3O12.

Cell: 5.5917 5.6108 7.8831 Å, 89.96 89.96 89.94°
Positions (direct):
O (0.0019, 0.4245, 0.2546)
Ti (0.4954, 0.0002, 0.4979)
O (0.5002, 0.9206, 0.7387)
O (0.2609, 0.2764, 0.9649)
O (0.2257, 0.7597, 0.0359)
Sr (0.0074, 0.0040, 0.7549)
O (0.5112, 0.0540, 0.2612)
Ti (0.0014, 0.4986, 0.0002)
Mg (0.4979, 0.9998, 0.9991)
O (0.2313, 0.7664, 0.4623)
O (0.9968, 0.5570, 0.7460)
O (0.2672, 0.2691, 0.5373)
O (0.7493, 0.7447, 0.4644)
La (0.9815, 0.9866, 0.2365)
Ti (0.9983, 0.4990, 0.5011)
O (0.7627, 0.2542, 0.9680)
La (0.5112, 0.4963, 0.7626)
O (0.7511, 0.7377, 0.0324)
O (0.7567, 0.2506, 0.5371)
Sr (0.4920, 0.5007, 0.2450)

## Properties
Relative energy among the computed polymorphs, meV per atom: 0
Crystal system: triclinic
Space-group type: P1 (1)
E_form, meV/atom: -3601
Energy, eV per atom: -8.084

---

## Fe3Pt (PBE)

Data for an optimized crystal structure of Fe3Pt.

Cell: 3.8267 3.8267 3.5933 Å, 90.00 90.00 90.00°
Positions (direct):
Fe (0.0000, 0.5000, 0.0000)
Fe (0.0000, 0.0000, 0.5000)
Fe (0.5000, 0.0000, 0.0000)
Pt (0.5000, 0.5000, 0.5000)

## Properties
Crystal system: tetragonal
Space-group type: P4/mmm (123)
E_form, meV/atom: -73
Energy, eV per atom: -7.944

---

## LiAlSiO4 (PBE)

Data for an optimized crystal structure of LiAlSiO4.

Cell: 5.2918 5.2918 11.4500 Å, 90.00 90.00 120.00°
Positions (direct):
Al (0.5000, 0.5000, 0.1667)
O (0.8061, 0.6004, 0.2555)
Li (0.0000, 0.0000, 0.6667)
O (0.1939, 0.3996, 0.2555)
O (0.2057, 0.8061, 0.9222)
O (0.8061, 0.2057, 0.4112)
Al (0.0000, 0.5000, 0.8333)
O (0.1939, 0.7943, 0.4112)
O (0.2057, 0.3996, 0.7445)
O (0.6004, 0.7943, 0.5888)
Si (0.5000, 0.5000, 0.6667)
Si (0.5000, 0.0000, 0.0000)
Al (0.5000, 0.0000, 0.5000)
Si (0.0000, 0.5000, 0.3333)
Li (0.0000, 0.0000, 0.0000)
O (0.7943, 0.6004, 0.7445)
O (0.3996, 0.2057, 0.5888)
Li (0.0000, 0.0000, 0.3333)
O (0.6004, 0.8061, 0.0778)
O (0.3996, 0.1939, 0.0778)
O (0.7943, 0.1939, 0.9222)

## Properties
Relative energy among the computed polymorphs, meV per atom: 8
Crystal system: hexagonal
Space-group type: P6_422 (181)
E_form, meV/atom: -3203
Energy, eV per atom: -7.220
Largest piezoelectric modulus, C/m2: 0.1

---

## Ba14AlSb11 (PBE)

Data for an optimized crystal structure of Ba14AlSb11.

Cell: 17.9568 17.9568 17.9568 Å, 117.89 117.89 93.70°
Positions (direct):
Sb (0.1930, 0.5600, 0.3717)
Sb (0.3534, 0.2112, 0.4078)
Sb (0.6296, 0.1296, 0.7593)
Ba (0.1250, 0.7311, 0.1061)
Ba (0.3106, 0.6505, 0.0242)
Ba (0.6179, 0.7517, 0.7769)
Sb (0.5617, 0.4288, 0.8717)
Ba (0.4997, 0.6460, 0.8942)
Ba (0.0910, 0.7248, 0.7231)
Sb (0.0712, 0.9383, 0.1283)
Sb (0.1883, 0.8212, 0.6283)
Sb (0.5544, 0.6966, 0.4078)
Sb (0.7500, 0.7500, 0.0000)
Sb (0.8704, 0.6296, 0.5000)
Ba (0.0364, 0.5606, 0.1601)
Ba (0.3495, 0.3737, 0.6601)
Sb (0.1204, 0.1204, 0.7407)
Ba (0.6250, 0.0189, 0.8939)
Ba (0.4983, 0.1040, 0.3537)
Ba (0.4005, 0.8763, 0.8399)
Ba (0.6237, 0.0995, 0.1601)
Ba (0.8960, 0.2497, 0.3942)
Ba (0.7752, 0.4090, 0.2769)
Sb (0.5000, 0.0000, 0.5000)
Sb (0.3704, 0.8704, 0.2407)
Sb (0.1788, 0.8070, 0.3671)
Ba (0.2136, 0.8737, 0.0242)
Ba (0.9394, 0.4636, 0.8399)
Sb (0.9466, 0.3044, 0.9078)
Ba (0.8106, 0.7864, 0.6601)
Sb (0.8796, 0.6204, 0.0000)
Sb (0.8534, 0.4456, 0.1422)
Sb (0.0000, 0.5000, 0.5000)
Sb (0.9612, 0.0534, 0.3578)
Ba (0.6263, 0.2864, 0.9758)
Ba (0.7503, 0.1446, 0.6463)
Ba (0.1321, 0.4983, 0.7231)
Sb (0.0544, 0.6466, 0.8578)
Ba (0.2503, 0.6040, 0.6058)
Ba (0.9983, 0.6446, 0.3942)
Ba (0.4394, 0.5995, 0.4758)
Al (0.7500, 0.2500, 0.5000)
Ba (0.7483, 0.8821, 0.2231)
Ba (0.9811, 0.8750, 0.6061)
Ba (0.4811, 0.8750, 0.1061)
Al (0.2500, 0.7500, 0.5000)
Ba (0.2483, 0.0252, 0.8662)
Sb (0.0617, 0.1900, 0.1329)
Ba (0.3554, 0.7497, 0.3537)
Ba (0.0017, 0.3679, 0.2769)
Ba (0.2752, 0.9983, 0.3662)
Sb (0.5712, 0.4430, 0.1329)
Sb (0.5570, 0.6900, 0.1283)
Al (0.5000, 0.5000, 0.0000)
Sb (0.3966, 0.0388, 0.0922)
Sb (0.4612, 0.1034, 0.9078)
Sb (0.4400, 0.8117, 0.6329)
Sb (0.3034, 0.7112, 0.8578)
Sb (0.9400, 0.3070, 0.6283)
Ba (0.1237, 0.9636, 0.5242)
Ba (0.8554, 0.5017, 0.6058)
Ba (0.5364, 0.3763, 0.4758)
Sb (0.6883, 0.0600, 0.3671)
Al (0.0000, 0.0000, 0.0000)
Sb (0.8034, 0.9456, 0.5922)
Sb (0.6930, 0.3212, 0.6329)
Ba (0.9005, 0.0606, 0.5242)
Ba (0.3960, 0.0017, 0.6463)
Sb (0.2500, 0.2500, 0.0000)
Sb (0.1956, 0.5534, 0.0922)
Ba (0.9997, 0.1054, 0.8537)
Sb (0.3796, 0.3796, 0.2593)
Sb (0.8100, 0.9430, 0.8717)
Ba (0.7517, 0.6054, 0.1058)
Ba (0.3540, 0.2483, 0.8537)
Ba (0.5910, 0.8679, 0.3662)
Sb (0.7888, 0.1966, 0.1422)
Sb (0.6788, 0.3117, 0.3717)
Ba (0.2517, 0.1460, 0.1463)
Ba (0.6321, 0.9090, 0.6338)
Sb (0.1296, 0.3704, 0.5000)
Ba (0.1263, 0.1505, 0.3399)
Ba (0.8540, 0.0003, 0.1058)
Sb (0.4466, 0.5388, 0.6422)
Sb (0.6204, 0.8796, 0.0000)
Ba (0.6250, 0.5189, 0.3939)
Sb (0.6956, 0.6034, 0.6422)
Ba (0.1179, 0.3410, 0.8662)
Ba (0.3946, 0.5003, 0.1463)
Sb (0.2888, 0.1466, 0.5922)
Sb (0.0570, 0.9288, 0.8671)
Ba (0.8495, 0.1894, 0.9758)
Ba (0.7689, 0.3750, 0.8939)
Ba (0.1250, 0.2311, 0.6061)
Sb (0.3100, 0.4383, 0.8671)
Ba (0.8946, 0.7483, 0.8942)
Ba (0.2689, 0.3750, 0.3939)
Ba (0.7136, 0.6894, 0.3399)
Ba (0.6590, 0.5252, 0.7769)
Ba (0.5017, 0.2248, 0.6338)
Sb (0.8966, 0.8044, 0.3578)
Ba (0.4748, 0.2517, 0.1338)
Ba (0.9748, 0.8410, 0.2231)
Ba (0.1590, 0.3821, 0.1338)

## Properties
Crystal system: tetragonal
Space-group type: I4_1/acd (142)
E_form, meV/atom: -1111
Energy, eV per atom: -3.954

---

## Rb2TbF6 (PBE)

Data for an optimized crystal structure of Rb2TbF6.

Cell: 7.0118 7.0118 7.5097 Å, 89.37 89.37 117.85°
Positions (direct):
F (0.9955, 0.3814, 0.2323)
F (0.8705, 0.0737, 0.9547)
Rb (0.3254, 0.6433, 0.4988)
F (0.9263, 0.1295, 0.5453)
Rb (0.6746, 0.3567, 0.5012)
F (0.6921, 0.7025, 0.7356)
F (0.3814, 0.9955, 0.7323)
Tb (0.9609, 0.0391, 0.2500)
F (0.1295, 0.9263, 0.0453)
Rb (0.3567, 0.6746, 0.0012)
F (0.6186, 0.0045, 0.2677)
F (0.2975, 0.3079, 0.7644)
F (0.7025, 0.6921, 0.2356)
Rb (0.6433, 0.3254, 0.9988)
F (0.0045, 0.6186, 0.7677)
F (0.0737, 0.8705, 0.4547)
F (0.3079, 0.2975, 0.2644)
Tb (0.0391, 0.9609, 0.7500)

## Properties
Crystal system: monoclinic
Space-group type: C2/c (15)
E_form, meV/atom: -3360
Energy, eV per atom: -5.061

---

## SrP2Pd2 (PBE)

Data for an optimized crystal structure of SrP2Pd2.

Cell: 4.2797 4.2797 5.7688 Å, 111.77 111.77 90.00°
Positions (direct):
Pd (0.2500, 0.7500, 0.5000)
P (0.3857, 0.3857, 0.7714)
Pd (0.7500, 0.2500, 0.5000)
Sr (0.0000, 0.0000, 0.0000)
P (0.6143, 0.6143, 0.2286)

## Properties
Crystal system: tetragonal
Space-group type: I4/mmm (139)
E_form, meV/atom: -826
Energy, eV per atom: -5.401

---

Look up the E_form of the third one.
-466 meV/atom